Entry from Materials Project: a geometry-optimized PdSe2 structure (r²SCAN).

The value obtained for the energy is -1.2837 Ry per atom. The calculation puts the formation enthalpy at 0 K at -271 meV per atom. The symmetry is P2_1/c.

```
PdSe2
1.0
5.689 0.000 0.000
0.000 5.865 -0.015
0.000 0.001 20.095
Se Pd
4 2
Direct
0.109 0.881 0.037
0.391 0.381 0.037
0.609 0.619 0.963
0.891 0.119 0.963
0.000 0.500 0.000
0.500 0.000 0.000
```

=====

Entry from Materials Project: a geometry-optimized SrCu2O3 structure (r²SCAN).

The value obtained for the energy is -0.7829 Ry per atom. The calculation puts the formation enthalpy at 0 K at -1526 meV per atom. The symmetry is Pmmn.

```
SrCu2O3
1.0
-0.342 -2.699 -2.225
3.252 -1.642 1.491
-6.364 -5.578 7.742
Sr Cu O
2 4 6
Direct
0.510 0.000 0.000
0.490 0.500 0.500
0.992 0.000 0.335
0.008 0.500 0.165
0.992 0.000 0.665
0.008 0.500 0.835
0.993 0.500 0.670
0.007 0.000 0.170
0.985 0.000 0.500
0.993 0.500 0.330
0.015 0.500 0.000
0.007 0.000 0.830
```

=====

Entry from Materials Project: a geometry-optimized PuI2 structure (r²SCAN).

The value obtained for the energy is -3.4203 Ry per atom. The calculation puts the formation enthalpy at 0 K at -1378 meV per atom. The symmetry is P4_2/mnm.

```
PuI2
1.0
7.887 0.000 0.000
0.000 7.887 0.000
0.000 0.000 4.232
I Pu
4 2
Direct
0.788 0.788 0.000
0.212 0.212 0.000
0.712 0.288 0.500
0.288 0.712 0.500
0.500 0.500 0.000
0.000 0.000 0.500
```